# LiVP4O12 (GGA+U, optimized geometry)
data_LiVP4O12
_chemical_formula_sum 'Li4 V4 P16 O48'
_cell_length_a 12.870
_cell_length_b 8.387
_cell_length_c 9.419
_cell_angle_alpha 90.00
_cell_angle_beta 90.00
_cell_angle_gamma 90.00
_space_group_name_H-M_alt 'P b c n'
_space_group_IT_number 60
loop_
_space_group_symop_operation_xyz
'x,y,z'
'-x,-y,-z'
'-x+1/2,-y+1/2,z+1/2'
'x+1/2,y+1/2,-z+1/2'
'x+1/2,-y+1/2,-z'
'-x+1/2,y+1/2,z'
'-x,y,-z+1/2'
'x,-y,z+1/2'
loop_
_atom_site_label
_atom_site_type_symbol
_atom_site_fract_x
_atom_site_fract_y
_atom_site_fract_z
_atom_site_occupancy
Li1 Li 0.000 0.001 0.250 1
V1 V 0.000 0.369 0.250 1
P1 P 0.139 0.180 0.005 1
P2 P 0.151 0.464 0.511 1
O1 O 0.066 0.191 0.131 1
O2 O 0.072 0.465 0.629 1
O3 O 0.105 0.096 0.875 1
O4 O 0.123 0.368 0.381 1
O5 O 0.180 0.357 0.965 1
O6 O 0.243 0.103 0.073 1
# Crystal system: orthorhombic
# Theoretical density: 2.44 Mg/m³
# Calculated formation energy: -2.672 eV/atom
# Calculated volume: 1017 Å³ per cell